Record 1
Compound: Cu3Te
Source: the Materials Project
Functional: PBE
Structure: relaxed

The value obtained for the formation enthalpy at 0 K is 0.041 eV/atom. As for the total magnetic moment: 0.0 μB/cell. The calculated volume comes out at 15.368 A^3/atom.

CIF file:
```
data_Cu3Te
_cell_length_a 3.947
_cell_length_b 3.947
_cell_length_c 3.947
_cell_angle_alpha 90.00
_cell_angle_beta 90.00
_cell_angle_gamma 90.00
_symmetry_space_group_name_H-M 'P m -3 m'
_symmetry_Int_Tables_number 221
_symmetry_space_group_name_Hall '-P 4 2 3'
loop_
_atom_site_label
_atom_site_type_symbol
_atom_site_fract_x
_atom_site_fract_y
_atom_site_fract_z
_atom_site_occupancy
Cu1 Cu 0.000 0.000 0.500 1
Te1 Te 0.500 0.500 0.500 1
```

=====

Record 2
Compound: Cu7Te4
Source: the Materials Project
Functional: PBE
Structure: relaxed

The value obtained for the formation enthalpy at 0 K is -0.056 eV/atom. As for the total magnetic moment: 0.0 μB/cell. The calculated volume comes out at 18.521 A^3/atom.

CIF file:
```
data_Cu7Te4
_cell_length_a 7.7411
_cell_length_b 7.7411
_cell_length_c 7.8513
_cell_angle_alpha 90.00
_cell_angle_beta 90.00
_cell_angle_gamma 120.00
_symmetry_space_group_name_H-M 'P 3 m 1'
_symmetry_Int_Tables_number 156
loop_
_symmetry_equiv_pos_as_xyz
'x,y,z'
'-y,x-y,z'
'-x+y,-x,z'
'-y,-x,z'
'-x+y,y,z'
'x,x-y,z'
loop_
_atom_site_label
_atom_site_type_symbol
_atom_site_fract_x
_atom_site_fract_y
_atom_site_fract_z
_atom_site_occupancy
Cu1 Cu 0.0000 0.0000 0.0000 1
Cu2 Cu 0.0678 0.5339 0.2737 1
Cu3 Cu 0.2516 0.1258 0.7584 1
Cu4 Cu 0.2585 0.1293 0.2420 1
Cu5 Cu 0.3333 0.6667 0.7662 1
Cu6 Cu 0.5203 0.0405 0.6432 1
Te1 Te 0.1605 0.3209 0.5103 1
Te2 Te 0.1855 0.3711 0.0222 1
Te3 Te 0.6667 0.3333 0.3416 1
Te4 Te 0.6667 0.3333 0.8593 1
```

=====

Record 3
Compound: CuTe2
Source: the Materials Project
Functional: PBE
Structure: relaxed

The value obtained for the formation enthalpy at 0 K is -0.282 eV/atom. The calculated volume comes out at 23.824 A^3/atom.

CIF file:
```
data_CuTe2
_cell_length_a 4.0235
_cell_length_b 4.0235
_cell_length_c 5.0981
_cell_angle_alpha 90.00
_cell_angle_beta 90.00
_cell_angle_gamma 120.00
_symmetry_space_group_name_H-M 'P -3 m 1'
_symmetry_Int_Tables_number 164
_symmetry_space_group_name_Hall '-P 3 2"'
loop_
_atom_site_label
_atom_site_type_symbol
_atom_site_fract_x
_atom_site_fract_y
_atom_site_fract_z
_atom_site_occupancy
Cu1 Cu 0.0000 0.0000 0.0000 1
Te1 Te 0.3333 0.6667 0.2724 1
```

=====

Record 4
Compound: CuTe2
Source: the Materials Project
Functional: PBE
Structure: relaxed

The value obtained for the formation enthalpy at 0 K is -0.281 eV/atom. The calculated volume comes out at 24.197 A^3/atom.

CIF file:
```
data_CuTe2
_cell_length_a 6.622
_cell_length_b 6.622
_cell_length_c 6.622
_cell_angle_alpha 90.00
_cell_angle_beta 90.00
_cell_angle_gamma 90.00
_symmetry_space_group_name_H-M 'P a -3'
_symmetry_Int_Tables_number 205
_symmetry_space_group_name_Hall '-P 2ac 2ab 3'
loop_
_atom_site_label
_atom_site_type_symbol
_atom_site_fract_x
_atom_site_fract_y
_atom_site_fract_z
_atom_site_occupancy
Cu1 Cu 0.000 0.000 0.000 1
Te1 Te 0.125 0.625 0.875 1
```

=====

Record 5
Compound: Th2CuTe6
Source: the Materials Project
Functional: PBE
Structure: relaxed

The value obtained for the formation enthalpy at 0 K is -1.155 eV/atom. The calculated volume comes out at 32.018 A^3/atom.

CIF file:
```
data_Th2CuTe6
_cell_length_a 6.308
_cell_length_b 4.391
_cell_length_c 10.522
_cell_angle_alpha 90.00
_cell_angle_beta 98.67
_cell_angle_gamma 90.00
_symmetry_space_group_name_H-M 'P 1 m 1'
_symmetry_Int_Tables_number 6
loop_
_symmetry_equiv_pos_as_xyz
'x,y,z'
'x,-y,z'
loop_
_atom_site_label
_atom_site_type_symbol
_atom_site_fract_x
_atom_site_fract_y
_atom_site_fract_z
_atom_site_occupancy
Th1 Th 0.000 0.000 0.000 1
Th2 Th 0.413 0.500 0.670 1
Cu1 Cu 0.103 0.500 0.370 1
Te1 Te 0.103 0.000 0.501 1
Te2 Te 0.295 0.500 0.167 1
Te3 Te 0.470 0.000 0.893 1
Te4 Te 0.605 0.000 0.499 1
Te5 Te 0.798 0.500 0.172 1
Te6 Te 0.939 0.500 0.776 1
```

=====

Record 6
Compound: Tl4CuTe3
Source: the Materials Project
Functional: PBE
Structure: relaxed

The value obtained for the formation enthalpy at 0 K is -0.210 eV/atom. As for the total magnetic moment: 0.0 μB/cell. The calculated volume comes out at 30.035 A^3/atom.

CIF file:
```
data_Tl4CuTe3
_cell_length_a 8.799
_cell_length_b 8.799
_cell_length_c 12.414
_cell_angle_alpha 90.00
_cell_angle_beta 90.00
_cell_angle_gamma 90.00
_symmetry_space_group_name_H-M 'I 4/m c m'
_symmetry_Int_Tables_number 140
_symmetry_space_group_name_Hall '-I 4 2c'
loop_
_atom_site_label
_atom_site_type_symbol
_atom_site_fract_x
_atom_site_fract_y
_atom_site_fract_z
_atom_site_occupancy
Tl1 Tl 0.148 0.352 0.159 1
Cu1 Cu 0.000 0.000 0.000 1
Te1 Te 0.000 0.000 0.250 1
Te2 Te 0.160 0.340 0.500 1
```

=====

Record 7
Compound: TmCuTe2
Source: the Materials Project
Functional: PBE
Structure: relaxed

The value obtained for the formation enthalpy at 0 K is -0.995 eV/atom. As for the total magnetic moment: 0.0 μB/cell. The calculated volume comes out at 25.591 A^3/atom.

CIF file:
```
data_TmCuTe2
_cell_length_a 4.2182
_cell_length_b 4.2182
_cell_length_c 6.6428
_cell_angle_alpha 90.00
_cell_angle_beta 90.00
_cell_angle_gamma 120.00
_symmetry_space_group_name_H-M 'P -3 m 1'
_symmetry_Int_Tables_number 164
_symmetry_space_group_name_Hall '-P 3 2"'
loop_
_atom_site_label
_atom_site_type_symbol
_atom_site_fract_x
_atom_site_fract_y
_atom_site_fract_z
_atom_site_occupancy
Tm1 Tm 0.0000 0.0000 0.0000 1
Cu1 Cu 0.0000 0.0000 0.5000 1
Te1 Te 0.3333 0.6667 0.2740 1
```

=====

Record 8
Compound: TmCuTe2
Source: the Materials Project
Functional: PBE
Structure: relaxed

The value obtained for the formation enthalpy at 0 K is -1.059 eV/atom. As for the total magnetic moment: 0.0 μB/cell. The calculated volume comes out at 27.780 A^3/atom.

CIF file:
```
data_TmCuTe2
_cell_length_a 4.3310
_cell_length_b 4.3310
_cell_length_c 6.8403
_cell_angle_alpha 90.00
_cell_angle_beta 90.00
_cell_angle_gamma 120.00
_symmetry_space_group_name_H-M 'P 3 m 1'
_symmetry_Int_Tables_number 156
loop_
_symmetry_equiv_pos_as_xyz
'x,y,z'
'-y,x-y,z'
'-x+y,-x,z'
'-y,-x,z'
'-x+y,y,z'
'x,x-y,z'
loop_
_atom_site_label
_atom_site_type_symbol
_atom_site_fract_x
_atom_site_fract_y
_atom_site_fract_z
_atom_site_occupancy
Tm1 Tm 0.0000 0.0000 0.0000 1
Cu1 Cu 0.3333 0.6667 0.3720 1
Te1 Te 0.3333 0.6667 0.7566 1
Te2 Te 0.6667 0.3333 0.2725 1
```

=====

Record 9
Compound: VCu3Te4
Source: the Materials Project
Functional: PBE
Structure: relaxed

The value obtained for the formation enthalpy at 0 K is -0.453 eV/atom. The calculated volume comes out at 25.887 A^3/atom. The calculation puts the maximum piezoelectric response at 0.2 C/m².

CIF file:
```
data_VCu3Te4
_cell_length_a 5.916
_cell_length_b 5.916
_cell_length_c 5.916
_cell_angle_alpha 90.00
_cell_angle_beta 90.00
_cell_angle_gamma 90.00
_symmetry_space_group_name_H-M 'P -4 3 m'
_symmetry_Int_Tables_number 215
_symmetry_space_group_name_Hall 'P -4 2 3'
loop_
_atom_site_label
_atom_site_type_symbol
_atom_site_fract_x
_atom_site_fract_y
_atom_site_fract_z
_atom_site_occupancy
V1 V 0.000 0.000 0.000 1
Cu1 Cu 0.000 0.000 0.500 1
Te1 Te 0.252 0.252 0.252 1
```

=====

Record 10
Compound: YCuTe2
Source: the Materials Project
Functional: PBE
Structure: relaxed

The value obtained for the formation enthalpy at 0 K is -1.110 eV/atom. The calculated volume comes out at 28.283 A^3/atom.

CIF file:
```
data_YCuTe2
_cell_length_a 6.928
_cell_length_b 4.353
_cell_length_c 7.503
_cell_angle_alpha 90.00
_cell_angle_beta 90.61
_cell_angle_gamma 90.00
_symmetry_space_group_name_H-M 'P 1 2/m 1'
_symmetry_Int_Tables_number 10
loop_
_symmetry_equiv_pos_as_xyz
'x,y,z'
'-x,-y,-z'
'-x,y,-z'
'x,-y,z'
loop_
_atom_site_label
_atom_site_type_symbol
_atom_site_fract_x
_atom_site_fract_y
_atom_site_fract_z
_atom_site_occupancy
Y1 Y 0.000 0.000 0.000 1
Y2 Y 0.000 0.500 0.500 1
Cu1 Cu 0.351 0.000 0.337 1
Te1 Te 0.261 0.000 0.675 1
Te2 Te 0.266 0.500 0.161 1
```

=====

Record 11
Compound: YCuTe2
Source: the Materials Project
Functional: PBE
Structure: relaxed

The value obtained for the formation enthalpy at 0 K is -1.102 eV/atom. As for the total magnetic moment: 0.0 μB/cell. The calculated volume comes out at 28.377 A^3/atom.

CIF file:
```
data_YCuTe2
_cell_length_a 4.3582
_cell_length_b 4.3582
_cell_length_c 6.9006
_cell_angle_alpha 90.00
_cell_angle_beta 90.00
_cell_angle_gamma 120.00
_symmetry_space_group_name_H-M 'P 3 m 1'
_symmetry_Int_Tables_number 156
loop_
_symmetry_equiv_pos_as_xyz
'x,y,z'
'-y,x-y,z'
'-x+y,-x,z'
'-y,-x,z'
'-x+y,y,z'
'x,x-y,z'
loop_
_atom_site_label
_atom_site_type_symbol
_atom_site_fract_x
_atom_site_fract_y
_atom_site_fract_z
_atom_site_occupancy
Y1 Y 0.0000 0.0000 0.0000 1
Cu1 Cu 0.3333 0.6667 0.3748 1
Te1 Te 0.3333 0.6667 0.7546 1
Te2 Te 0.6667 0.3333 0.2744 1
```

=====

Record 12
Compound: YCu3Te3
Source: the Materials Project
Functional: PBE
Structure: relaxed

The value obtained for the formation enthalpy at 0 K is -0.689 eV/atom. As for the total magnetic moment: 0.0 μB/cell. The calculated volume comes out at 24.009 A^3/atom.

CIF file:
```
data_YCu3Te3
_cell_length_a 7.4646
_cell_length_b 7.4646
_cell_length_c 20.8972
_cell_angle_alpha 90.00
_cell_angle_beta 90.00
_cell_angle_gamma 120.00
_symmetry_space_group_name_H-M 'R -3'
_symmetry_Int_Tables_number 148
_symmetry_space_group_name_Hall '-R 3'
loop_
_atom_site_label
_atom_site_type_symbol
_atom_site_fract_x
_atom_site_fract_y
_atom_site_fract_z
_atom_site_occupancy
Y1 Y 0.0000 0.0000 0.1656 1
Cu1 Cu 0.0078 0.3656 0.6236 1
Te1 Te 0.0028 0.3144 0.4179 1
```